Entry 1:
MgMn2V2Bi2O10 after structural relaxation, computed with PBE+U.

Unit cell a=5.487 b=7.142 c=7.248 alpha=110.21 beta=102.96 gamma=97.14
Positions (direct):
1 Mg 0.000 0.000 0.000
2 Mn 0.529 0.829 0.079
3 Mn 0.868 0.082 0.601
4 V 0.535 0.283 0.961
5 V 0.881 0.628 0.707
6 Bi 0.078 0.701 0.275
7 Bi 0.357 0.242 0.435
8 O 0.130 0.706 0.957
9 O 0.286 0.247 0.728
10 O 0.380 0.125 0.078
11 O 0.469 0.957 0.392
12 O 0.641 0.557 0.121
13 O 0.666 0.764 0.818
14 O 0.788 0.354 0.553
15 O 0.820 0.193 0.915
16 O 0.954 0.978 0.268
17 O 0.984 0.800 0.582

Computed properties:
Space-group type   P1, No. 1
Energy of formation from the pure elements   -2110 meV per atom
Offset from the most stable computed form   0.000 eV/f.u.
Total magnetic moment   10.0 μB per formula unit
Corrected total energy (MP2020 scheme)   -131.2 eV/f.u.

***

Entry 2:
MnPt3O6 after structural relaxation, computed with PBE+U.

Unit cell a=6.227 b=6.227 c=3.242 alpha=90.00 beta=90.00 gamma=109.04
Positions (direct):
1 Mn 0.000 0.000 0.000
2 Pt 0.000 0.500 0.500
3 Pt 0.500 0.000 0.500
4 Pt 0.500 0.500 0.000
5 O 0.152 0.848 0.500
6 O 0.162 0.417 0.000
7 O 0.417 0.162 0.000
8 O 0.583 0.838 0.000
9 O 0.838 0.583 0.000
10 O 0.848 0.152 0.500

Computed properties:
Space-group type   Cmmm, No. 65
Energy of formation from the pure elements   -1189 meV per atom
Corrected total energy (MP2020 scheme)   -69.0 eV/f.u.

***

Entry 3:
MgCo4Ag4O8 after structural relaxation, computed with PBE+U.

Unit cell a=3.061 b=3.061 c=26.710 alpha=91.01 beta=91.01 gamma=59.35
Positions (direct):
1 Mg 0.000 0.000 0.000
2 Co 0.334 0.334 0.094
3 Co 0.337 0.337 0.787
4 Co 0.671 0.671 0.321
5 Co 0.671 0.671 0.553
6 Ag 0.003 0.003 0.670
7 Ag 0.011 0.011 0.205
8 Ag 0.334 0.334 0.437
9 Ag 0.666 0.666 0.908
10 O 0.003 0.003 0.591
11 O 0.003 0.003 0.749
12 O 0.005 0.005 0.126
13 O 0.020 0.020 0.284
14 O 0.322 0.322 0.358
15 O 0.338 0.338 0.515
16 O 0.668 0.668 0.824
17 O 0.672 0.672 0.033

Computed properties:
Space-group type   Cm, No. 8
Energy of formation from the pure elements   -991 meV per atom
Offset from the most stable computed form   0.183 eV/f.u.
Total magnetic moment   12.8 μB per formula unit
Corrected total energy (MP2020 scheme)   -97.8 eV/f.u.

***

Entry 4:
Sr3V4CdO14 after structural relaxation, computed with PBE+U.

Unit cell a=7.172 b=7.172 c=25.960 alpha=90.00 beta=90.00 gamma=90.00
Positions (direct):
1 Sr 0.100 0.162 0.120
2 Sr 0.162 0.100 0.880
3 Sr 0.227 0.227 0.500
4 Sr 0.273 0.727 0.750
5 Sr 0.338 0.600 0.370
6 Sr 0.400 0.662 0.130
7 Sr 0.600 0.338 0.630
8 Sr 0.662 0.400 0.870
9 Sr 0.727 0.273 0.250
10 Sr 0.773 0.773 0.000
11 Sr 0.838 0.900 0.380
12 Sr 0.900 0.838 0.620
13 V 0.091 0.333 0.647
14 V 0.140 0.749 0.498
15 V 0.167 0.591 0.897
16 V 0.249 0.360 0.248
17 V 0.251 0.860 0.002
18 V 0.333 0.091 0.353
19 V 0.360 0.249 0.752
20 V 0.409 0.833 0.603
21 V 0.591 0.167 0.103
22 V 0.640 0.751 0.252
23 V 0.667 0.909 0.853
24 V 0.749 0.140 0.502
25 V 0.751 0.640 0.748
26 V 0.833 0.409 0.397
27 V 0.860 0.251 0.998
28 V 0.909 0.667 0.147
29 Cd 0.122 0.878 0.250
30 Cd 0.378 0.378 0.000
31 Cd 0.622 0.622 0.500
32 Cd 0.878 0.122 0.750
33 O 0.001 0.430 0.882
34 O 0.045 0.858 0.165
35 O 0.061 0.346 0.023
36 O 0.070 0.501 0.132
37 O 0.077 0.206 0.227
38 O 0.097 0.902 0.450
39 O 0.098 0.903 0.050
40 O 0.108 0.738 0.953
41 O 0.142 0.955 0.335
42 O 0.154 0.561 0.273
43 O 0.206 0.077 0.773
44 O 0.210 0.742 0.848
45 O 0.238 0.392 0.703
46 O 0.242 0.290 0.598
47 O 0.258 0.790 0.652
48 O 0.262 0.892 0.547
49 O 0.290 0.242 0.402
50 O 0.294 0.577 0.477
51 O 0.346 0.061 0.977
52 O 0.358 0.455 0.915
53 O 0.392 0.238 0.297
54 O 0.402 0.403 0.200
55 O 0.403 0.402 0.800
56 O 0.423 0.706 0.023
57 O 0.430 0.001 0.118
58 O 0.439 0.846 0.227
59 O 0.455 0.358 0.085
60 O 0.499 0.930 0.368
61 O 0.501 0.070 0.868
62 O 0.545 0.642 0.585
63 O 0.561 0.154 0.727
64 O 0.570 0.999 0.618
65 O 0.577 0.294 0.523
66 O 0.597 0.598 0.300
67 O 0.598 0.597 0.700
68 O 0.608 0.762 0.797
69 O 0.642 0.545 0.415
70 O 0.654 0.939 0.477
71 O 0.706 0.423 0.977
72 O 0.710 0.758 0.902
73 O 0.738 0.108 0.047
74 O 0.742 0.210 0.152
75 O 0.758 0.710 0.098
76 O 0.762 0.608 0.203
77 O 0.790 0.258 0.348
78 O 0.794 0.923 0.273
79 O 0.846 0.439 0.773
80 O 0.858 0.045 0.835
81 O 0.892 0.262 0.453
82 O 0.902 0.097 0.550
83 O 0.903 0.098 0.950
84 O 0.923 0.794 0.727
85 O 0.930 0.499 0.632
86 O 0.939 0.654 0.523
87 O 0.955 0.142 0.665
88 O 0.999 0.570 0.382

Computed properties:
Space-group type   P4_12_12, No. 92
Energy of formation from the pure elements   -2707 meV per atom
Total magnetic moment   0.2 μB per formula unit
Corrected total energy (MP2020 scheme)   -171.2 eV/f.u.

***

Entry 5:
CaFeBP2H2O10 after structural relaxation, computed with PBE+U.

Unit cell a=6.649 b=6.649 c=9.276 alpha=110.79 beta=110.79 gamma=77.78
Positions (direct):
1 Ca 0.149 0.851 0.750
2 Ca 0.851 0.149 0.250
3 Fe 0.000 0.500 0.000
4 Fe 0.500 0.000 0.500
5 B 0.474 0.526 0.250
6 B 0.526 0.474 0.750
7 P 0.149 0.279 0.674
8 P 0.279 0.149 0.174
9 P 0.721 0.851 0.826
10 P 0.851 0.721 0.326
11 H 0.293 0.667 0.412
12 H 0.333 0.707 0.088
13 H 0.667 0.293 0.912
14 H 0.707 0.333 0.588
15 O 0.051 0.683 0.461
16 O 0.065 0.292 0.123
17 O 0.089 0.260 0.815
18 O 0.260 0.089 0.315
19 O 0.292 0.065 0.623
20 O 0.297 0.471 0.739
21 O 0.317 0.949 0.039
22 O 0.319 0.570 0.102
23 O 0.430 0.681 0.398
24 O 0.471 0.297 0.239
25 O 0.529 0.703 0.761
26 O 0.570 0.319 0.602
27 O 0.681 0.430 0.898
28 O 0.683 0.051 0.961
29 O 0.703 0.529 0.261
30 O 0.708 0.935 0.377
31 O 0.740 0.911 0.685
32 O 0.911 0.740 0.185
33 O 0.935 0.708 0.877
34 O 0.949 0.317 0.539

Computed properties:
Space-group type   C2/c, No. 15
Energy of formation from the pure elements   -2518 meV per atom
Total magnetic moment   5.0 μB per formula unit
Corrected total energy (MP2020 scheme)   -127.0 eV/f.u.

***

Entry 6:
Li5Mn6O16 after structural relaxation, computed with PBE+U.

Unit cell a=5.817 b=5.817 c=10.306 alpha=106.43 beta=106.43 gamma=59.98
Positions (direct):
1 Li 0.000 0.000 0.000
2 Li 0.122 0.122 0.365
3 Li 0.502 0.502 0.507
4 Li 0.624 0.624 0.873
5 Li 0.812 0.812 0.436
6 Mn 0.062 0.062 0.686
7 Mn 0.062 0.561 0.186
8 Mn 0.062 0.561 0.686
9 Mn 0.561 0.062 0.186
10 Mn 0.561 0.062 0.686
11 Mn 0.562 0.562 0.186
12 O 0.166 0.707 0.581
13 O 0.193 0.193 0.579
14 O 0.205 0.205 0.085
15 O 0.205 0.674 0.085
16 O 0.418 0.418 0.787
17 O 0.419 0.949 0.787
18 O 0.431 0.431 0.293
19 O 0.458 0.916 0.291
20 O 0.674 0.205 0.085
21 O 0.693 0.693 0.079
22 O 0.707 0.166 0.581
23 O 0.708 0.708 0.582
24 O 0.916 0.458 0.291
25 O 0.916 0.916 0.290
26 O 0.931 0.931 0.793
27 O 0.949 0.419 0.787

Computed properties:
Space-group type   Cm, No. 8
Energy of formation from the pure elements   -1862 meV per atom
Total magnetic moment   15.0 μB per formula unit
Corrected total energy (MP2020 scheme)   -193.9 eV/f.u.

***

Copy entry 2 word for word.
MnPt3O6 after structural relaxation, computed with PBE+U.

Unit cell a=6.227 b=6.227 c=3.242 alpha=90.00 beta=90.00 gamma=109.04
Positions (direct):
1 Mn 0.000 0.000 0.000
2 Pt 0.000 0.500 0.500
3 Pt 0.500 0.000 0.500
4 Pt 0.500 0.500 0.000
5 O 0.152 0.848 0.500
6 O 0.162 0.417 0.000
7 O 0.417 0.162 0.000
8 O 0.583 0.838 0.000
9 O 0.838 0.583 0.000
10 O 0.848 0.152 0.500

Computed properties:
Space-group type   Cmmm, No. 65
Energy of formation from the pure elements   -1189 meV per atom
Corrected total energy (MP2020 scheme)   -69.0 eV/f.u.

***

- Which of these has the highest corrected total energy (MP2020 scheme)?
  MnPt3O6

***

- What is the energy of formation from the pure elements in the first record?
  -2110 meV per atom

***

- Which value of energy of formation from the pure elements does entry 2 give?
  -1189 meV per atom